No. 1
Below is an optimized crystal structure of SrTlCu3Se4, with properties calculated at the PBE-GGA level.

Results
total magnetization: 0.00 μB/cell
DFT formation energy: -445 meV per atom

a = 6.3124 Å, b = 6.3124 Å, c = 6.3124 Å
α = 90.00°, β = 90.00°, γ = 90.00°
Last column: nearest neighbours and their distance in Å.
Element x y z (fractional)
1 Se 0.2363 0.7637 0.7637  1 Tl 2.58, 3 Cu 2.69, 1 Sr 2.88
2 Se 0.7637 0.2363 0.7637  1 Tl 2.58, 3 Cu 2.69, 1 Sr 2.88
3 Se 0.7637 0.7637 0.2363  1 Tl 2.58, 3 Cu 2.69, 1 Sr 2.88
4 Se 0.2363 0.2363 0.2363  1 Tl 2.58, 3 Cu 2.69, 1 Sr 2.88
5 Tl 0.0000 0.0000 0.0000  4 Se 2.58
6 Cu 0.0000 0.0000 0.5000  4 Se 2.69
7 Cu 0.5000 0.0000 0.0000  4 Se 2.69
8 Cu 0.0000 0.5000 0.0000  4 Se 2.69
9 Sr 0.5000 0.5000 0.5000  4 Se 2.88



No. 2
Below is an optimized crystal structure of SrVCu3Se4, with properties calculated at the PBE-GGA level.

Results
total magnetization: 2.00 μB/cell
DFT formation energy: -766 meV per atom

a = 6.0705 Å, b = 6.0705 Å, c = 6.0705 Å
α = 90.00°, β = 90.00°, γ = 90.00°
Last column: nearest neighbours and their distance in Å.
Element x y z (fractional)
1 Cu 0.0000 0.5000 0.0000  4 Se 2.56
2 Cu 0.5000 0.0000 0.0000  4 Se 2.56
3 Cu 0.0000 0.0000 0.5000  4 Se 2.56
4 Se 0.7741 0.7741 0.2259  1 V 2.38, 3 Cu 2.56
5 Se 0.7741 0.2259 0.7741  1 V 2.38, 3 Cu 2.56
6 Se 0.2259 0.7741 0.7741  1 V 2.38, 3 Cu 2.56
7 Se 0.2259 0.2259 0.2259  1 V 2.38, 3 Cu 2.56
8 V 0.0000 0.0000 0.0000  4 Se 2.38
9 Sr 0.5000 0.5000 0.5000  4 Se 2.88



No. 3
Below is an optimized crystal structure of SrYCu3Se4, with properties calculated at the PBE-GGA level.

Results
total magnetization: 0.00 μB/cell
DFT formation energy: -998 meV per atom

a = 6.2855 Å, b = 6.2855 Å, c = 6.2855 Å
α = 90.00°, β = 90.00°, γ = 90.00°
Last column: nearest neighbours and their distance in Å.
Element x y z (fractional)
1 Sr 0.5000 0.5000 0.5000  4 Se 2.86
2 Se 0.7627 0.7627 0.2373  1 Y 2.58, 3 Cu 2.68, 1 Sr 2.86
3 Se 0.7627 0.2373 0.7627  1 Y 2.58, 3 Cu 2.68, 1 Sr 2.86
4 Se 0.2373 0.2373 0.2373  1 Y 2.58, 3 Cu 2.68, 1 Sr 2.86
5 Se 0.2373 0.7627 0.7627  1 Y 2.58, 3 Cu 2.68, 1 Sr 2.86
6 Cu 0.0000 0.5000 0.0000  4 Se 2.68
7 Cu 0.0000 0.0000 0.5000  4 Se 2.68
8 Cu 0.5000 0.0000 0.0000  4 Se 2.68
9 Y 0.0000 0.0000 0.0000  4 Se 2.58



No. 4
Below is an optimized crystal structure of TbCuSe2, with properties calculated at the PBE-GGA level.

Results
DFT formation energy: -1449 meV per atom

a = 4.1027 Å, b = 4.1027 Å, c = 6.4399 Å
α = 90.00°, β = 90.00°, γ = 120.00°
Last column: nearest neighbours and their distance in Å.
Element x y z (fractional)
1 Cu 0.6667 0.3333 0.1862  4 Se 2.43-2.48
2 Se 0.3333 0.6667 0.0732  3 Cu 2.48
3 Se 0.6667 0.3333 0.5640  1 Cu 2.43
4 Tb 0.0000 0.0000 0.8027  6 Se 2.82-2.94